Entry from the Materials Project: a geometry-optimized Fe2OF2 structure (PBE with a Hubbard U).

Computed properties:
Its calculated formation energy is -2083 meV/atom.

```
data_Fe2OF2
_symmetry_space_group_name_H-M 'C 1 2/c 1'
_symmetry_Int_Tables_number 15
_symmetry_space_group_name_Hall '-C 2yc'
_cell_length_a 9.572
_cell_length_b 5.361
_cell_length_c 14.280
_cell_angle_alpha 90.00
_cell_angle_beta 90.02
_cell_angle_gamma 90.00
loop_
_atom_site_label
_atom_site_fract_x
_atom_site_fract_y
_atom_site_fract_z
Fe1 0.006 0.008 0.353
Fe2 0.142 0.492 0.688
Fe3 0.148 0.498 0.478
O1 0.000 0.267 0.750
O2 0.015 0.337 0.085
F1 0.169 0.152 0.251
F2 0.171 0.186 0.582
F3 0.194 0.143 0.917
```